Material: Eu2O3
Method: DFT, PBE
State: optimized geometry

Cell lengths 3.794, 3.794, 5.986 Å; angles 90.00, 90.00, 60.00 degrees
Element x y z (fractional)
O: 0.000 0.000 0.000
O: 0.667 0.667 0.351
O: 0.333 0.333 0.649
Eu: 0.667 0.667 0.755
Eu: 0.333 0.333 0.245

Results
Corrected total energy (MP2020 scheme): -0.3747 Ha/atom
Formation enthalpy at 0 K: -3.125 eV per atom
Density: 7.8 g/cm³

***

Material: EuO3
Method: DFT, PBE
State: optimized geometry

Cell lengths 3.537, 7.117, 7.117 Å; angles 120.00, 90.00, 90.00 degrees
Element x y z (fractional)
O: 0.750 0.966 0.516
O: 0.750 0.550 0.034
O: 0.250 0.034 0.484
O: 0.250 0.450 0.966
O: 0.250 0.516 0.550
O: 0.750 0.484 0.450
Eu: 0.250 0.667 0.333
Eu: 0.750 0.333 0.667

Results
Spin magnetization: 12.240 μB/cell
Corrected total energy (MP2020 scheme): -0.2935 Ha/atom
ΔE to the lowest computed polymorph: 0.010 eV per formula unit
Formation enthalpy at 0 K: -1.712 eV per atom
Density: 4.3 g/cm³